No. 1
Material: Eu4Cl6O
Method: DFT, r2SCAN
State: relaxed

abc: 9.4181 9.4181 7.1423
angles: 90.00 90.00 120.00
With the nearest neighbours (Å) after each atom.
Space group P6_3mc (No. 186)
Unique sites:
Eu  0.1967  0.3935  0.0000  1 O 2.35
Eu  0.3333  0.6667  0.4329  1 O 2.34
Cl  0.0666  0.5333  0.7144  5 Eu 2.96-3.27
Cl  0.1420  0.2840  0.3919  4 Eu 2.94-3.13
O  0.3333  0.6667  0.1058  4 Eu 2.34-2.35

=====

No. 2
Material: Eu2PCl
Method: DFT, r2SCAN
State: relaxed

abc: 4.2281 4.2281 5.9106
angles: 90.00 90.00 90.00
With the nearest neighbours (Å) after each atom.
Space group P4/mmm (No. 123)
Unique sites:
Eu  0.0000  0.0000  0.0000  2 P 2.96, 4 Cl 2.99
Eu  0.5000  0.5000  0.5000  2 Cl 2.96, 4 P 2.99
P  0.0000  0.0000  0.5000  6 Eu 2.96-2.99
Cl  0.5000  0.5000  0.0000  6 Eu 2.96-2.99

=====

No. 3
Material: RbEu2Cl5
Method: DFT, r2SCAN
State: relaxed

abc: 8.9755 7.8799 12.6344
angles: 90.00 90.23 90.00
With the nearest neighbours (Å) after each atom.
Space group P2_1/c (No. 14)
Unique sites:
Rb  0.0108  0.0554  0.3342  7 Cl 3.23-3.44
Eu  0.2530  0.5680  0.4938  7 Cl 2.87-3.03
Eu  0.4987  0.5240  0.1779  8 Cl 2.95-3.10
Cl  0.0350  0.1725  0.0804  2 Eu 2.87-2.94
Cl  0.2754  0.6908  0.7164  3 Eu 2.96-3.05
Cl  0.2895  0.1661  0.8164  3 Eu 2.92-3.10
Cl  0.2898  0.5498  0.9978  3 Eu 2.95-3.03
Cl  0.4610  0.1604  0.1005  4 Eu 2.92-3.05

=====

No. 4
Material: ClF
Method: DFT, r2SCAN
State: relaxed

abc: 6.2462 3.7927 6.4924
angles: 90.00 104.69 90.00
With the nearest neighbours (Å) after each atom.
Space group P2_1/c (No. 14)
Unique sites:
Cl  0.1625  0.0101  0.2927  1 F 1.66
F  0.3791  0.2200  0.8508  1 Cl 1.66

=====

No. 5
Material: ClF5
Method: DFT, r2SCAN
State: relaxed

abc: 6.1679 7.1070 7.5475
angles: 90.00 90.00 90.00
With the nearest neighbours (Å) after each atom.
Space group Cmc2_1 (No. 36)
Unique sites:
Cl  0.0000  0.1779  0.0000  5 F 1.61-1.72
F  0.0000  0.0289  0.8211  1 Cl 1.72
F  0.0000  0.3450  0.8564  1 Cl 1.61
F  0.0000  0.3465  0.1557  1 Cl 1.68
F  0.2266  0.3104  0.4913  1 Cl 1.69

=====

No. 6
Material: IrCl4F6
Method: DFT, r2SCAN
State: relaxed

abc: 5.2002 11.0392 7.3434
angles: 90.00 93.83 90.00
With the nearest neighbours (Å) after each atom.
Space group P2_1/c (No. 14)
Unique sites:
Ir  0.0000  0.0000  0.0000  6 F 1.87-1.88
Cl  0.2254  0.1459  0.5293  1 Cl 1.96
Cl  0.4693  0.6518  0.1141  1 Cl 1.96
F  0.1044  0.6331  0.3636  1 Ir 1.88
F  0.1517  0.5704  0.7132  1 Ir 1.87
F  0.3064  0.0818  0.9600  1 Ir 1.87

=====

No. 7
Material: Sb4Cl13F7
Method: DFT, r2SCAN
State: relaxed

abc: 7.3931 9.9525 10.0443
angles: 83.40 70.06 69.78
With the nearest neighbours (Å) after each atom.
Space group P1 (No. 1)
Unique sites:
Sb  0.0000  0.0000  0.0000  3 F 1.88-2.08
Sb  0.0905  0.4745  0.3380  3 F 1.88-2.08
Sb  0.2996  0.5669  0.9105  2 F 2.13, 4 Cl 2.30-2.31
Sb  0.8456  0.9087  0.4287  3 F 1.88-2.08
Cl  0.0063  0.4442  0.5792  1 Sb 2.30
Cl  0.1202  0.0317  0.7593  1 Sb 2.30
Cl  0.2562  0.2406  0.2649  1 Sb 2.29
Cl  0.4087  0.6419  0.6802  1 Sb 2.30
Cl  0.4712  0.3241  0.8840  1 Sb 2.31
Cl  0.5239  0.6220  0.9893  1 Sb 2.30
Cl  0.5526  0.8938  0.4070  1 Sb 2.31
Cl  0.6976  0.9710  0.0132  1 Sb 2.31
Cl  0.7372  0.1525  0.4581  1 Sb 2.30
Cl  0.7772  0.5006  0.3197  1 Sb 2.31
Cl  0.7959  0.8353  0.6598  1 Sb 2.30
Cl  0.8689  0.2335  0.0759  1 Sb 2.30
Cl  0.9967  0.5563  0.9030  1 Sb 2.30
F  0.1161  0.7814  0.9739  2 Sb 2.06-2.13
F  0.1210  0.8875  0.3929  1 Sb 1.88
F  0.1594  0.5408  0.1306  2 Sb 2.06-2.13
F  0.2525  0.9706  0.0241  1 Sb 1.88
F  0.3315  0.5093  0.3224  1 Sb 1.88
F  0.9334  0.9320  0.2100  2 Sb 2.08
F  0.9748  0.6963  0.3631  2 Sb 2.08

=====

No. 8
Material: SbTeCl3F6
Method: DFT, r2SCAN
State: relaxed

abc: 16.7900 8.4385 6.4577
angles: 90.00 90.00 90.00
With the nearest neighbours (Å) after each atom.
Space group Pnma (No. 62)
Unique sites:
Sb  0.0740  0.2500  0.1459  6 F 1.88-1.92
Te  0.0998  0.7500  0.3647  3 Cl 2.29-2.30
Cl  0.1368  0.5530  0.5906  1 Te 2.30
Cl  0.2142  0.7500  0.1713  1 Te 2.29
F  0.0323  0.2500  0.4229  1 Sb 1.92
F  0.0328  0.7500  0.9471  1 Sb 1.89
F  0.0725  0.0237  0.1527  1 Sb 1.91
F  0.1086  0.2500  0.8686  1 Sb 1.88
F  0.1786  0.2500  0.2485  1 Sb 1.88

=====

No. 9
Material: SnClF
Method: DFT, r2SCAN
State: relaxed

abc: 6.1468 4.3474 10.3820
angles: 90.00 90.00 90.00
With the nearest neighbours (Å) after each atom.
Space group Pnma (No. 62)
Unique sites:
Sn  0.2127  0.2500  0.0846  3 F 2.23-2.37
Cl  0.1056  0.7500  0.3669  1 Sn 2.52
F  0.1027  0.7500  0.0224  3 Sn 2.23-2.37

=====

No. 10
Material: Sn2ClF3
Method: DFT, r2SCAN
State: relaxed

abc: 7.7962 7.7962 7.7962
angles: 90.00 90.00 90.00
With the nearest neighbours (Å) after each atom.
Space group P2_13 (No. 198)
Unique sites:
Sn  0.0697  0.4303  0.5697  3 F 2.18
Sn  0.0995  0.9005  0.4005  3 F 2.13
Cl  0.2406  0.7406  0.7594  6 Sn 3.13-3.25, 9 F 3.19-3.36
F  0.1178  0.8736  0.1290  2 Sn 2.13-2.18

=====

No. 11
Material: TaClF8
Method: DFT, r2SCAN
State: relaxed

abc: 9.8018 5.8055 10.4581
angles: 90.00 90.00 90.00
With the nearest neighbours (Å) after each atom.
Space group Pcca (No. 54)
Unique sites:
Ta  0.0000  0.1067  0.2500  6 F 1.87-1.98
Cl  0.2500  0.5000  0.0373  2 F 1.60
F  0.0982  0.1333  0.4054  1 Ta 1.89
F  0.1163  0.3585  0.1823  1 Ta 1.98, 1 Cl 2.17
F  0.1207  0.1152  0.6869  1 Ta 1.87
F  0.1487  0.3897  0.9338  1 Cl 1.60

=====

No. 12
Material: TaCl4F
Method: DFT, r2SCAN
State: relaxed

abc: 12.8037 12.8037 8.2086
angles: 90.00 90.00 90.00
With the nearest neighbours (Å) after each atom.
Space group I-4 (No. 82)
Unique sites:
Ta  0.0453  0.2237  0.0273  2 F 2.08-2.09, 4 Cl 2.26-2.31
Cl  0.0384  0.2256  0.7463  1 Ta 2.31
Cl  0.0391  0.1725  0.2968  1 Ta 2.31
Cl  0.0617  0.6372  0.0600  1 Ta 2.26
Cl  0.1938  0.7007  0.4554  1 Ta 2.26
F  0.0821  0.8768  0.0052  2 Ta 2.08-2.09

=====

Energy of formation from the pure elements for the records above, in order: -2789 -1854 -2574 -341 -603 -982 -1346 -1831 -1746 -2073 -2304 -1895 meV per atom